First-principles (PBE with a Hubbard U) data for crystalline V5P6O22 at its relaxed geometry, as listed in the Materials Project.

Calculated values
The value obtained for the MP2020-corrected energy is -8.314 eV/atom. The space-group type is P2_1/c (14). For the formation energy, the calculation gives -2654.9 meV/atom.

Lattice parameters (Å, degrees): 12.897 6.668 10.465 90.00 104.10 90.00
Fractional positions:
V 0.000 0.000 0.000
V 0.000 0.500 0.500
V 0.136 0.250 0.288
V 0.136 0.250 0.788
V 0.336 0.012 0.803
V 0.336 0.488 0.303
V 0.664 0.512 0.697
V 0.664 0.988 0.197
V 0.864 0.750 0.212
V 0.864 0.750 0.712
P 0.088 0.741 0.776
P 0.088 0.759 0.276
P 0.259 0.109 0.074
P 0.259 0.391 0.574
P 0.418 0.703 0.591
P 0.418 0.797 0.091
P 0.582 0.203 0.909
P 0.582 0.297 0.409
P 0.741 0.609 0.426
P 0.741 0.891 0.926
P 0.912 0.241 0.724
P 0.912 0.259 0.224
O 0.001 0.210 0.860
O 0.001 0.290 0.360
O 0.005 0.709 0.361
O 0.005 0.791 0.861
O 0.148 0.551 0.822
O 0.148 0.949 0.322
O 0.160 0.576 0.268
O 0.160 0.924 0.768
O 0.163 0.529 0.551
O 0.163 0.971 0.051
O 0.249 0.225 0.673
O 0.249 0.275 0.173
O 0.274 0.190 0.940
O 0.274 0.310 0.440
O 0.366 0.503 0.643
O 0.366 0.997 0.143
O 0.372 0.619 0.150
O 0.372 0.881 0.650
O 0.385 0.700 0.441
O 0.385 0.800 0.941
O 0.462 0.180 0.852
O 0.462 0.320 0.352
O 0.538 0.680 0.648
O 0.538 0.820 0.148
O 0.615 0.200 0.059
O 0.615 0.300 0.559
O 0.628 0.119 0.350
O 0.628 0.381 0.850
O 0.634 0.003 0.857
O 0.634 0.497 0.357
O 0.726 0.690 0.560
O 0.726 0.810 0.060
O 0.751 0.725 0.827
O 0.751 0.775 0.327
O 0.837 0.029 0.949
O 0.837 0.471 0.449
O 0.840 0.076 0.232
O 0.840 0.424 0.732
O 0.852 0.051 0.678
O 0.852 0.449 0.178
O 0.995 0.209 0.139
O 0.995 0.291 0.639
O 0.999 0.710 0.640
O 0.999 0.790 0.140



First-principles (PBE with a Hubbard U) data for crystalline CrO2 at its relaxed geometry, as listed in the Materials Project.

Calculated values
The value obtained for the MP2020-corrected energy is -8.507 eV/atom. The space-group type is Pnma (62). For the formation energy, the calculation gives -1991.2 meV/atom.

Lattice parameters (Å, degrees): 9.279 3.009 4.764 90.00 90.00 90.00
Fractional positions:
Cr 0.140 0.250 0.023
Cr 0.360 0.750 0.523
Cr 0.640 0.250 0.477
Cr 0.860 0.750 0.977
O 0.047 0.750 0.820
O 0.216 0.750 0.241
O 0.284 0.250 0.741
O 0.453 0.250 0.320
O 0.547 0.750 0.680
O 0.716 0.750 0.259
O 0.784 0.250 0.759
O 0.953 0.250 0.180



First-principles (PBE with a Hubbard U) data for crystalline CoRe2H8O12 at its relaxed geometry, as listed in the Materials Project.

Calculated values
The value obtained for the MP2020-corrected energy is -6.780 eV/atom. The space-group type is P-1 (2). For the formation energy, the calculation gives -1627.6 meV/atom.

Lattice parameters (Å, degrees): 6.705 7.008 7.465 64.62 69.06 71.25
Fractional positions:
Co 0.000 0.000 0.000
Re 0.416 0.676 0.709
Re 0.584 0.324 0.291
H 0.110 0.302 0.642
H 0.123 0.594 0.250
H 0.183 0.012 0.276
H 0.246 0.200 0.057
H 0.754 0.800 0.943
H 0.817 0.988 0.724
H 0.877 0.406 0.750
H 0.890 0.698 0.358
O 0.010 0.300 0.777
O 0.178 0.072 0.132
O 0.292 0.885 0.810
O 0.301 0.331 0.387
O 0.302 0.729 0.511
O 0.368 0.430 0.901
O 0.632 0.570 0.099
O 0.698 0.271 0.489
O 0.699 0.669 0.613
O 0.708 0.115 0.190
O 0.822 0.928 0.868
O 0.990 0.700 0.223



First-principles (PBE with a Hubbard U) data for crystalline Li3V3P8O29 at its relaxed geometry, as listed in the Materials Project.

Calculated values
The value obtained for the MP2020-corrected energy is -7.640 eV/atom. The polymorph energy (0 for the lowest one) comes out at 0.17 eV per formula unit. The space-group type is Cc (9). For the formation energy, the calculation gives -2528.9 meV/atom.

Lattice parameters (Å, degrees): 9.731 9.731 14.368 90.98 90.98 60.48
Fractional positions:
Li 0.074 0.926 0.500
Li 0.082 0.676 0.949
Li 0.319 0.768 0.067
Li 0.676 0.082 0.449
Li 0.768 0.319 0.567
Li 0.926 0.074 0.000
V 0.430 0.559 0.262
V 0.431 0.998 0.761
V 0.558 0.993 0.256
V 0.559 0.430 0.762
V 0.993 0.558 0.756
V 0.998 0.431 0.261
P 0.082 0.211 0.671
P 0.083 0.682 0.165
P 0.211 0.082 0.171
P 0.219 0.684 0.672
P 0.303 0.913 0.352
P 0.313 0.771 0.851
P 0.326 0.333 0.877
P 0.333 0.326 0.377
P 0.658 0.662 0.643
P 0.662 0.658 0.143
P 0.682 0.083 0.665
P 0.684 0.219 0.172
P 0.771 0.313 0.351
P 0.780 0.913 0.846
P 0.913 0.303 0.852
P 0.913 0.780 0.346
O 0.002 0.192 0.764
O 0.015 0.753 0.073
O 0.077 0.256 0.177
O 0.079 0.373 0.684
O 0.083 0.643 0.680
O 0.085 0.525 0.185
O 0.179 0.484 0.837
O 0.185 0.328 0.331
O 0.192 0.002 0.264
O 0.197 0.787 0.766
O 0.202 0.993 0.088
O 0.204 0.778 0.589
O 0.213 0.980 0.438
O 0.237 0.764 0.940
O 0.255 0.655 0.174
O 0.256 0.077 0.677
O 0.328 0.185 0.831
O 0.334 0.336 0.979
O 0.334 0.473 0.329
O 0.336 0.334 0.479
O 0.341 0.913 0.844
O 0.345 0.737 0.337
O 0.373 0.079 0.184
O 0.378 0.530 0.684
O 0.457 0.920 0.339
O 0.472 0.616 0.834
O 0.473 0.334 0.829
O 0.484 0.179 0.337
O 0.509 0.663 0.180
O 0.518 0.809 0.691
O 0.525 0.085 0.685
O 0.530 0.378 0.184
O 0.616 0.472 0.334
O 0.617 0.921 0.837
O 0.643 0.083 0.180
O 0.655 0.255 0.674
O 0.659 0.809 0.191
O 0.663 0.509 0.680
O 0.663 0.665 0.040
O 0.665 0.663 0.540
O 0.736 0.914 0.344
O 0.737 0.345 0.837
O 0.753 0.015 0.573
O 0.764 0.237 0.440
O 0.778 0.204 0.089
O 0.787 0.197 0.266
O 0.800 0.986 0.749
O 0.805 0.995 0.927
O 0.809 0.518 0.191
O 0.809 0.659 0.691
O 0.913 0.341 0.344
O 0.914 0.736 0.844
O 0.920 0.457 0.839
O 0.921 0.617 0.337
O 0.980 0.213 0.938
O 0.986 0.800 0.249
O 0.993 0.202 0.588
O 0.995 0.805 0.427



First-principles (PBE with a Hubbard U) data for crystalline Mn2H8S3N2O12 at its relaxed geometry, as listed in the Materials Project.

Calculated values
The value obtained for the MP2020-corrected energy is -6.446 eV/atom. The space-group type is P2_13 (198). For the formation energy, the calculation gives -1485.4 meV/atom.

Lattice parameters (Å, degrees): 10.315 10.315 10.315 90.00 90.00 90.00
Fractional positions:
Mn 0.083 0.083 0.083
Mn 0.156 0.656 0.844
Mn 0.344 0.344 0.344
Mn 0.417 0.917 0.583
Mn 0.583 0.417 0.917
Mn 0.656 0.844 0.156
Mn 0.844 0.156 0.656
Mn 0.917 0.583 0.417
H 0.009 0.991 0.491
H 0.024 0.924 0.343
H 0.076 0.843 0.476
H 0.144 0.356 0.644
H 0.157 0.286 0.790
H 0.157 0.976 0.424
H 0.210 0.657 0.214
H 0.214 0.210 0.657
H 0.286 0.790 0.157
H 0.290 0.343 0.714
H 0.343 0.024 0.924
H 0.343 0.714 0.290
H 0.356 0.644 0.144
H 0.424 0.157 0.976
H 0.476 0.076 0.843
H 0.491 0.009 0.991
H 0.509 0.509 0.509
H 0.524 0.576 0.657
H 0.576 0.657 0.524
H 0.644 0.144 0.356
H 0.657 0.214 0.210
H 0.657 0.524 0.576
H 0.710 0.843 0.786
H 0.714 0.290 0.343
H 0.786 0.710 0.843
H 0.790 0.157 0.286
H 0.843 0.476 0.076
H 0.843 0.786 0.710
H 0.856 0.856 0.856
H 0.924 0.343 0.024
H 0.976 0.424 0.157
H 0.991 0.491 0.009
S 0.031 0.264 0.375
S 0.125 0.969 0.764
S 0.236 0.625 0.531
S 0.264 0.375 0.031
S 0.375 0.031 0.264
S 0.469 0.736 0.875
S 0.531 0.236 0.625
S 0.625 0.531 0.236
S 0.736 0.875 0.469
S 0.764 0.125 0.969
S 0.875 0.469 0.736
S 0.969 0.764 0.125
N 0.066 0.934 0.434
N 0.202 0.298 0.702
N 0.298 0.702 0.202
N 0.434 0.066 0.934
N 0.566 0.566 0.566
N 0.702 0.202 0.298
N 0.798 0.798 0.798
N 0.934 0.434 0.066
O 0.000 0.402 0.346
O 0.000 0.902 0.154
O 0.009 0.186 0.254
O 0.023 0.056 0.712
O 0.056 0.712 0.023
O 0.081 0.832 0.752
O 0.098 0.654 0.500
O 0.154 0.000 0.902
O 0.168 0.252 0.419
O 0.186 0.254 0.009
O 0.212 0.477 0.944
O 0.246 0.991 0.686
O 0.248 0.581 0.668
O 0.252 0.419 0.168
O 0.254 0.009 0.186
O 0.288 0.523 0.444
O 0.314 0.746 0.509
O 0.332 0.748 0.919
O 0.346 0.000 0.402
O 0.402 0.346 0.000
O 0.419 0.168 0.252
O 0.444 0.288 0.523
O 0.477 0.944 0.212
O 0.491 0.814 0.754
O 0.500 0.098 0.654
O 0.500 0.598 0.846
O 0.509 0.314 0.746
O 0.523 0.444 0.288
O 0.556 0.788 0.977
O 0.581 0.668 0.248
O 0.598 0.846 0.500
O 0.654 0.500 0.098
O 0.668 0.248 0.581
O 0.686 0.246 0.991
O 0.712 0.023 0.056
O 0.746 0.509 0.314
O 0.748 0.919 0.332
O 0.752 0.081 0.832
O 0.754 0.491 0.814
O 0.788 0.977 0.556
O 0.814 0.754 0.491
O 0.832 0.752 0.081
O 0.846 0.500 0.598
O 0.902 0.154 0.000
O 0.919 0.332 0.748
O 0.944 0.212 0.477
O 0.977 0.556 0.788
O 0.991 0.686 0.246



First-principles (PBE with a Hubbard U) data for crystalline MgFe8O14F2 at its relaxed geometry, as listed in the Materials Project.

Calculated values
The value obtained for the MP2020-corrected energy is -7.328 eV/atom. The polymorph energy (0 for the lowest one) comes out at 0.16 eV per formula unit. The space-group type is P1 (1). For the formation energy, the calculation gives -1629.7 meV/atom.

Lattice parameters (Å, degrees): 5.631 7.405 7.556 82.63 69.67 70.69
Fractional positions:
Mg 0.000 0.000 0.000
Fe 0.219 0.630 0.653
Fe 0.237 0.159 0.598
Fe 0.239 0.606 0.153
Fe 0.289 0.126 0.160
Fe 0.700 0.890 0.844
Fe 0.709 0.405 0.863
Fe 0.740 0.368 0.375
Fe 0.763 0.878 0.390
O 0.062 0.904 0.738
O 0.094 0.711 0.409
O 0.100 0.385 0.225
O 0.352 0.558 0.882
O 0.371 0.888 0.033
O 0.386 0.373 0.545
O 0.429 0.030 0.359
O 0.579 0.977 0.634
O 0.584 0.461 0.147
O 0.624 0.136 0.964
O 0.856 0.625 0.798
O 0.879 0.303 0.606
O 0.901 0.776 0.146
O 0.923 0.104 0.267
F 0.092 0.231 0.882
F 0.586 0.649 0.476



First-principles (PBE with a Hubbard U) data for crystalline Li8VNi3P6O24 at its relaxed geometry, as listed in the Materials Project.

Calculated values
The value obtained for the MP2020-corrected energy is -7.063 eV/atom. The space-group type is R3 (146). For the formation energy, the calculation gives -2469.7 meV/atom.

Lattice parameters (Å, degrees): 8.542 8.542 8.542 61.96 61.96 61.96
Fractional positions:
Li 0.000 0.000 0.000
Li 0.144 0.792 0.344
Li 0.198 0.659 0.857
Li 0.344 0.144 0.792
Li 0.483 0.483 0.483
Li 0.659 0.857 0.198
Li 0.792 0.344 0.144
Li 0.857 0.198 0.659
V 0.644 0.644 0.644
Ni 0.148 0.148 0.148
Ni 0.354 0.354 0.354
Ni 0.855 0.855 0.855
P 0.047 0.456 0.752
P 0.254 0.953 0.548
P 0.456 0.752 0.047
P 0.548 0.254 0.953
P 0.752 0.047 0.456
P 0.953 0.548 0.254
O 0.023 0.280 0.928
O 0.032 0.619 0.793
O 0.078 0.961 0.726
O 0.102 0.504 0.330
O 0.219 0.963 0.382
O 0.246 0.398 0.615
O 0.280 0.928 0.023
O 0.330 0.102 0.504
O 0.382 0.219 0.963
O 0.396 0.748 0.607
O 0.398 0.615 0.246
O 0.504 0.330 0.102
O 0.517 0.675 0.886
O 0.607 0.396 0.748
O 0.615 0.246 0.398
O 0.619 0.793 0.032
O 0.675 0.886 0.517
O 0.726 0.078 0.961
O 0.748 0.607 0.396
O 0.793 0.032 0.619
O 0.886 0.517 0.675
O 0.928 0.023 0.280
O 0.961 0.726 0.078
O 0.963 0.382 0.219



First-principles (PBE with a Hubbard U) data for crystalline MgZnFe4O8 at its relaxed geometry, as listed in the Materials Project.

Calculated values
The value obtained for the MP2020-corrected energy is -7.118 eV/atom. The polymorph energy (0 for the lowest one) comes out at 3.08 eV per formula unit. The space-group type is P1 (1). For the formation energy, the calculation gives -1666.5 meV/atom.

Lattice parameters (Å, degrees): 2.971 8.223 8.364 66.06 79.88 79.77
Fractional positions:
Mg 0.000 0.000 0.000
Zn 0.754 0.396 0.111
Fe 0.148 0.124 0.581
Fe 0.413 0.406 0.776
Fe 0.732 0.741 0.796
Fe 0.832 0.038 0.298
O 0.137 0.903 0.822
O 0.238 0.228 0.297
O 0.246 0.562 0.965
O 0.434 0.949 0.184
O 0.558 0.250 0.637
O 0.748 0.958 0.544
O 0.879 0.579 0.674
O 0.902 0.258 0.946



| no. | total energy (eV per atom) |
| --- | --- |
| 1 | -7.5986 |
| 2 | -7.3831 |
| 3 | -6.3508 |
| 4 | -7.0580 |
| 5 | -6.0166 |
| 6 | -6.1846 |
| 7 | -6.4486 |
| 8 | -6.0811 |